VASP calculation (r2SCAN) on a geometry-optimized PrGa3Pt structure.

Geometry as POSCAR:
```
PrGa3Pt
1.0
-2.110 2.110 5.371
2.110 -2.110 5.371
2.110 2.110 -5.371
Pt Pr Ga
1 1 3
Cartesian
2.110 0.000 2.686
0.000 0.000 0.000
0.000 2.110 2.686
0.000 0.000 4.124
0.000 0.000 6.618
```

Computed properties:
Total magnetization ... 0.0 μB/cell
SG ... I-4m2
E ... -119.3 eV per cell